1.
Crystalline SbP4O12 at its relaxed geometry, computed with r2SCAN.

a = 7.413 Å, b = 7.413 Å, c = 10.286 Å
α = 115.67°, β = 115.67°, γ = 68.84°
Atoms (fractional coordinates):
Sb 0.060 0.940 0.750
Sb 0.940 0.060 0.250
P 0.265 0.728 0.025
P 0.272 0.735 0.475
P 0.290 0.298 0.817
P 0.298 0.290 0.317
P 0.702 0.710 0.683
P 0.710 0.702 0.183
P 0.728 0.265 0.525
P 0.735 0.272 0.975
O 0.091 0.839 0.086
O 0.126 0.269 0.348
O 0.161 0.909 0.414
O 0.165 0.337 0.673
O 0.220 0.735 0.601
O 0.255 0.528 0.339
O 0.265 0.780 0.899
O 0.269 0.126 0.848
O 0.269 0.491 0.967
O 0.337 0.165 0.173
O 0.472 0.745 0.161
O 0.491 0.269 0.467
O 0.509 0.731 0.533
O 0.528 0.255 0.839
O 0.663 0.835 0.827
O 0.731 0.509 0.033
O 0.731 0.874 0.152
O 0.735 0.220 0.101
O 0.745 0.472 0.661
O 0.780 0.265 0.399
O 0.835 0.663 0.327
O 0.839 0.091 0.586
O 0.874 0.731 0.652
O 0.909 0.161 0.914

Values from the calculation:
**Calculated formation energy**: -2.0521 eV/atom
**Magnetization**: 1.99 μB per cell

---

2.
Crystalline LiInF4 at its relaxed geometry, computed with r2SCAN.

a = 4.763 Å, b = 11.645 Å, c = 4.975 Å
α = 90.00°, β = 90.00°, γ = 90.00°
Atoms (fractional coordinates):
Li 0.000 0.055 0.250
Li 0.000 0.945 0.750
Li 0.500 0.445 0.750
Li 0.500 0.555 0.250
In 0.000 0.333 0.250
In 0.000 0.667 0.750
In 0.500 0.167 0.750
In 0.500 0.833 0.250
F 0.227 0.191 0.085
F 0.227 0.809 0.585
F 0.235 0.056 0.566
F 0.235 0.944 0.066
F 0.265 0.444 0.066
F 0.265 0.556 0.566
F 0.273 0.309 0.585
F 0.273 0.691 0.085
F 0.727 0.309 0.915
F 0.727 0.691 0.415
F 0.735 0.444 0.434
F 0.735 0.556 0.934
F 0.765 0.056 0.934
F 0.765 0.944 0.434
F 0.773 0.191 0.415
F 0.773 0.809 0.915

Values from the calculation:
**Calculated formation energy**: -2.9338 eV/atom
**Magnetization**: 0.00 μB per cell

---

3.
Crystalline PrGe3Rh at its relaxed geometry, computed with r2SCAN.

a = 5.916 Å, b = 5.916 Å, c = 5.916 Å
α = 136.18°, β = 136.18°, γ = 63.70°
Atoms (fractional coordinates):
Pr 0.000 0.000 0.000
Ge 0.237 0.737 0.500
Ge 0.578 0.578 0.000
Ge 0.737 0.237 0.500
Rh 0.340 0.340 0.000

Values from the calculation:
**Calculated formation energy**: -0.7476 eV/atom
**Magnetization**: 0.00 μB per cell

---

4.
Crystalline Pr5Mg at its relaxed geometry, computed with r2SCAN.

a = 6.835 Å, b = 6.835 Å, c = 6.835 Å
α = 55.81°, β = 55.81°, γ = 55.81°
Atoms (fractional coordinates):
Pr 0.000 0.621 0.379
Pr 0.155 0.155 0.155
Pr 0.379 0.000 0.621
Pr 0.621 0.379 0.000
Pr 0.845 0.845 0.845
Mg 0.500 0.500 0.500

Values from the calculation:
**Calculated formation energy**: -0.0037 eV/atom
**Magnetization**: 0.00 μB per cell

---

5.
Crystalline Y6Nb4Al43 at its relaxed geometry, computed with r2SCAN.

a = 11.042 Å, b = 11.042 Å, c = 17.791 Å
α = 90.00°, β = 90.00°, γ = 120.00°
Atoms (fractional coordinates):
Y 0.000 0.469 0.096
Y 0.000 0.469 0.404
Y 0.000 0.531 0.596
Y 0.000 0.531 0.904
Y 0.469 0.000 0.096
Y 0.469 0.000 0.404
Y 0.469 0.469 0.596
Y 0.469 0.469 0.904
Y 0.531 0.000 0.596
Y 0.531 0.000 0.904
Y 0.531 0.531 0.096
Y 0.531 0.531 0.404
Nb 0.000 0.000 0.000
Nb 0.000 0.000 0.500
Nb 0.000 0.273 0.250
Nb 0.000 0.727 0.750
Nb 0.273 0.000 0.250
Nb 0.273 0.273 0.750
Nb 0.727 0.000 0.750
Nb 0.727 0.727 0.250
Al 0.000 0.148 0.750
Al 0.000 0.159 0.115
Al 0.000 0.159 0.385
Al 0.000 0.255 0.530
Al 0.000 0.255 0.970
Al 0.000 0.745 0.030
Al 0.000 0.745 0.470
Al 0.000 0.841 0.615
Al 0.000 0.841 0.885
Al 0.000 0.852 0.250
Al 0.148 0.000 0.750
Al 0.148 0.148 0.250
Al 0.154 0.556 0.250
Al 0.154 0.597 0.750
Al 0.158 0.395 0.663
Al 0.158 0.395 0.837
Al 0.158 0.763 0.163
Al 0.158 0.763 0.337
Al 0.159 0.000 0.115
Al 0.159 0.000 0.385
Al 0.159 0.159 0.615
Al 0.159 0.159 0.885
Al 0.237 0.395 0.163
Al 0.237 0.395 0.337
Al 0.237 0.842 0.663
Al 0.237 0.842 0.837
Al 0.247 0.495 0.000
Al 0.247 0.495 0.500
Al 0.247 0.753 0.000
Al 0.247 0.753 0.500
Al 0.255 0.000 0.530
Al 0.255 0.000 0.970
Al 0.255 0.255 0.030
Al 0.255 0.255 0.470
Al 0.333 0.667 0.125
Al 0.333 0.667 0.375
Al 0.333 0.667 0.625
Al 0.333 0.667 0.875
Al 0.395 0.158 0.663
Al 0.395 0.158 0.837
Al 0.395 0.237 0.163
Al 0.395 0.237 0.337
Al 0.403 0.556 0.750
Al 0.403 0.846 0.250
Al 0.444 0.597 0.250
Al 0.444 0.846 0.750
Al 0.495 0.247 0.000
Al 0.495 0.247 0.500
Al 0.505 0.753 0.000
Al 0.505 0.753 0.500
Al 0.556 0.154 0.250
Al 0.556 0.403 0.750
Al 0.597 0.154 0.750
Al 0.597 0.444 0.250
Al 0.605 0.763 0.663
Al 0.605 0.763 0.837
Al 0.605 0.842 0.163
Al 0.605 0.842 0.337
Al 0.667 0.333 0.125
Al 0.667 0.333 0.375
Al 0.667 0.333 0.625
Al 0.667 0.333 0.875
Al 0.745 0.000 0.030
Al 0.745 0.000 0.470
Al 0.745 0.745 0.530
Al 0.745 0.745 0.970
Al 0.753 0.247 0.000
Al 0.753 0.247 0.500
Al 0.753 0.505 0.000
Al 0.753 0.505 0.500
Al 0.763 0.158 0.163
Al 0.763 0.158 0.337
Al 0.763 0.605 0.663
Al 0.763 0.605 0.837
Al 0.841 0.000 0.615
Al 0.841 0.000 0.885
Al 0.841 0.841 0.115
Al 0.841 0.841 0.385
Al 0.842 0.237 0.663
Al 0.842 0.237 0.837
Al 0.842 0.605 0.163
Al 0.842 0.605 0.337
Al 0.846 0.403 0.250
Al 0.846 0.444 0.750
Al 0.852 0.000 0.250
Al 0.852 0.852 0.750

Values from the calculation:
**Calculated formation energy**: -0.3619 eV/atom
**Magnetization**: 0.00 μB per cell

---

6.
Crystalline V3S4 at its relaxed geometry, computed with r2SCAN.

a = 6.545 Å, b = 6.545 Å, c = 5.847 Å
α = 114.44°, β = 114.44°, γ = 28.90°
Atoms (fractional coordinates):
V 0.000 0.000 0.000
V 0.258 0.258 0.320
V 0.742 0.742 0.680
S 0.111 0.111 0.452
S 0.359 0.359 0.016
S 0.641 0.641 0.984
S 0.889 0.889 0.548

Values from the calculation:
**Calculated formation energy**: -1.1929 eV/atom
**Magnetization**: 2.02 μB per cell
**Offset from the most stable computed form**: 0 meV per atom

---

7.
Crystalline Ti5TlSe8 at its relaxed geometry, computed with r2SCAN.

a = 9.622 Å, b = 9.622 Å, c = 9.183 Å
α = 103.69°, β = 103.69°, γ = 21.74°
Atoms (fractional coordinates):
Ti 0.000 0.000 0.000
Ti 0.291 0.291 0.648
Ti 0.349 0.349 0.011
Ti 0.651 0.651 0.989
Ti 0.709 0.709 0.352
Tl 0.500 0.500 0.500
Se 0.086 0.086 0.817
Se 0.161 0.161 0.499
Se 0.239 0.239 0.158
Se 0.427 0.427 0.826
Se 0.573 0.573 0.174
Se 0.761 0.761 0.842
Se 0.839 0.839 0.501
Se 0.914 0.914 0.183

Values from the calculation:
**Calculated formation energy**: -1.2783 eV/atom
**Magnetization**: 4.18 μB per cell

---

8.
Crystalline Pr3Ir at its relaxed geometry, computed with r2SCAN.

a = 7.401 Å, b = 10.021 Å, c = 6.633 Å
α = 90.00°, β = 90.00°, γ = 90.00°
Atoms (fractional coordinates):
Pr 0.041 0.250 0.145
Pr 0.168 0.067 0.676
Pr 0.168 0.433 0.676
Pr 0.332 0.567 0.176
Pr 0.332 0.933 0.176
Pr 0.459 0.750 0.645
Pr 0.541 0.250 0.355
Pr 0.668 0.067 0.824
Pr 0.668 0.433 0.824
Pr 0.832 0.567 0.324
Pr 0.832 0.933 0.324
Pr 0.959 0.750 0.855
Ir 0.120 0.750 0.438
Ir 0.380 0.250 0.938
Ir 0.620 0.750 0.062
Ir 0.880 0.250 0.562

Values from the calculation:
**Calculated formation energy**: -0.4757 eV/atom
**Magnetization**: 2.01 μB per cell

---

9.
Crystalline Nb6C5 at its relaxed geometry, computed with r2SCAN.

a = 5.510 Å, b = 5.510 Å, c = 5.510 Å
α = 99.71°, β = 99.71°, γ = 119.87°
Atoms (fractional coordinates):
Nb 0.064 0.417 0.747
Nb 0.235 0.235 0.264
Nb 0.417 0.064 0.747
Nb 0.583 0.936 0.253
Nb 0.765 0.765 0.736
Nb 0.936 0.583 0.253
C 0.000 0.000 0.500
C 0.165 0.835 0.000
C 0.333 0.667 0.500
C 0.667 0.333 0.500
C 0.835 0.165 0.000

Values from the calculation:
**Calculated formation energy**: -0.6171 eV/atom
**Magnetization**: 0.00 μB per cell

---

10.
Crystalline Mg15Sn at its relaxed geometry, computed with r2SCAN.

a = 6.339 Å, b = 6.339 Å, c = 10.328 Å
α = 90.00°, β = 90.00°, γ = 120.00°
Atoms (fractional coordinates):
Mg 0.000 0.000 0.000
Mg 0.000 0.500 0.000
Mg 0.167 0.334 0.250
Mg 0.167 0.334 0.750
Mg 0.167 0.833 0.250
Mg 0.167 0.833 0.750
Mg 0.500 0.000 0.000
Mg 0.500 0.500 0.000
Mg 0.501 0.001 0.500
Mg 0.501 0.499 0.500
Mg 0.666 0.833 0.250
Mg 0.666 0.833 0.750
Mg 0.667 0.333 0.250
Mg 0.667 0.333 0.750
Mg 0.999 0.499 0.500
Sn 0.000 0.000 0.500

Values from the calculation:
**Calculated formation energy**: -0.0146 eV/atom
**Magnetization**: 0.00 μB per cell

---

11.
Crystalline NaPrTl2 at its relaxed geometry, computed with r2SCAN.

a = 5.416 Å, b = 5.416 Å, c = 5.416 Å
α = 60.00°, β = 60.00°, γ = 60.00°
Atoms (fractional coordinates):
Na 0.000 0.000 0.000
Pr 0.500 0.500 0.500
Tl 0.250 0.250 0.250
Tl 0.750 0.750 0.750

Values from the calculation:
**Calculated formation energy**: -0.3651 eV/atom
**Magnetization**: 0.00 μB per cell

---

12.
Crystalline TmBrO at its relaxed geometry, computed with r2SCAN.

a = 3.753 Å, b = 4.092 Å, c = 9.130 Å
α = 90.00°, β = 90.00°, γ = 90.00°
Atoms (fractional coordinates):
Tm 0.250 0.250 0.111
Tm 0.750 0.750 0.889
Br 0.250 0.750 0.665
Br 0.750 0.250 0.335
O 0.250 0.750 0.026
O 0.750 0.250 0.974

Values from the calculation:
**Calculated formation energy**: -3.2501 eV/atom
**Magnetization**: 0.00 μB per cell

---

13.
Crystalline Li6OsN4 at its relaxed geometry, computed with r2SCAN.

a = 6.689 Å, b = 6.689 Å, c = 4.767 Å
α = 90.00°, β = 90.00°, γ = 90.00°
Atoms (fractional coordinates):
Li 0.040 0.540 0.250
Li 0.040 0.960 0.250
Li 0.250 0.250 0.141
Li 0.250 0.250 0.641
Li 0.460 0.540 0.250
Li 0.460 0.960 0.250
Li 0.540 0.040 0.750
Li 0.540 0.460 0.750
Li 0.750 0.750 0.359
Li 0.750 0.750 0.859
Li 0.960 0.040 0.750
Li 0.960 0.460 0.750
Os 0.250 0.750 0.750
Os 0.750 0.250 0.250
N 0.003 0.250 0.419
N 0.250 0.003 0.919
N 0.250 0.497 0.919
N 0.497 0.250 0.419
N 0.503 0.750 0.581
N 0.750 0.503 0.081
N 0.750 0.997 0.081
N 0.997 0.750 0.581

Values from the calculation:
**Calculated formation energy**: -0.5473 eV/atom
**Magnetization**: 0.10 μB per cell

---

14.
Crystalline USe2 at its relaxed geometry, computed with r2SCAN.

a = 7.530 Å, b = 4.207 Å, c = 9.082 Å
α = 90.00°, β = 90.00°, γ = 90.00°
Atoms (fractional coordinates):
U 0.244 0.250 0.128
U 0.256 0.750 0.628
U 0.744 0.250 0.372
U 0.756 0.750 0.872
Se 0.034 0.750 0.338
Se 0.138 0.750 0.929
Se 0.362 0.250 0.429
Se 0.466 0.250 0.838
Se 0.534 0.750 0.162
Se 0.638 0.750 0.571
Se 0.862 0.250 0.071
Se 0.966 0.250 0.662

Values from the calculation:
**Calculated formation energy**: -1.5241 eV/atom
**Magnetization**: 8.00 μB per cell